# 1
# Li7Ti16O32

A relaxed Li7Ti16O32 crystal (GGA-PBE, Materials Project).

Cell lengths 11.4102, 11.4102, 5.0859 Å; angles 90.07, 90.07, 62.54 degrees
Last column: nearest neighbours and their distance in Å.
Positions (direct):
1 Li 0.0000 0.0000 0.0000  4 O 1.87-2.09
2 Li 0.0931 0.3426 0.5078  4 O 1.87-2.08
3 Li 0.3356 0.5986 0.1334  4 O 1.87-2.08
4 Li 0.3426 0.0931 0.5078  4 O 1.87-2.08
5 Li 0.5938 0.8456 0.5071  3 O 1.87-2.00
6 Li 0.5986 0.3356 0.1334  4 O 1.87-2.08
7 Li 0.8456 0.5938 0.5071  3 O 1.87-2.00
8 Ti 0.1583 0.6717 0.5975  6 O 1.94-2.09
9 Ti 0.1625 0.1625 0.0407  6 O 1.93-2.15
10 Ti 0.1793 0.4300 0.0900  6 O 1.99-2.04
11 Ti 0.1829 0.9218 0.5409  6 O 1.94-2.11
12 Ti 0.4124 0.4124 0.5920  6 O 1.93-2.13
13 Ti 0.4139 0.9123 0.0494  6 O 1.95-2.09
14 Ti 0.4300 0.1793 0.0900  6 O 1.99-2.04
15 Ti 0.4332 0.6755 0.5609  6 O 1.99-2.05
16 Ti 0.6647 0.6647 0.0558  6 O 1.94-2.05
17 Ti 0.6717 0.1583 0.5975  6 O 1.94-2.09
18 Ti 0.6755 0.4332 0.5609  6 O 1.99-2.05
19 Ti 0.6814 0.9306 0.0790  6 O 1.97-2.10
20 Ti 0.9123 0.4139 0.0494  6 O 1.95-2.09
21 Ti 0.9124 0.9124 0.5718  6 O 1.98-2.07
22 Ti 0.9218 0.1829 0.5409  6 O 1.94-2.11
23 Ti 0.9306 0.6814 0.0790  6 O 1.97-2.10
24 O 0.0005 0.7441 0.3715  3 Ti 1.97-1.99
25 O 0.0033 0.5008 0.2794  2 Li 1.99, 3 Ti 2.03-2.10
26 O 0.0042 0.0042 0.3681  1 Li 1.87, 3 Ti 2.01-2.07
27 O 0.0052 0.2514 0.2838  3 Ti 1.98-2.04, 1 Li 2.08
28 O 0.0892 0.8442 0.7675  3 Ti 1.95-2.05, 1 Li 1.98
29 O 0.0903 0.0903 0.7813  3 Ti 1.93-2.11, 1 Li 2.09
30 O 0.0925 0.3406 0.8754  1 Li 1.87, 3 Ti 1.99-2.04
31 O 0.0996 0.5930 0.8725  3 Ti 1.94-2.01
32 O 0.2514 0.0052 0.2838  3 Ti 1.98-2.04, 1 Li 2.08
33 O 0.2531 0.2531 0.2826  2 Li 1.99, 3 Ti 2.04-2.15
34 O 0.2536 0.5037 0.3609  3 Ti 1.99-2.09, 1 Li 2.08
35 O 0.2556 0.7512 0.3697  3 Ti 1.94-2.08, 1 Li 1.96
36 O 0.3406 0.0925 0.8754  1 Li 1.87, 3 Ti 1.99-2.04
37 O 0.3431 0.5887 0.7656  1 Li 1.87, 3 Ti 2.00-2.06
38 O 0.3439 0.8477 0.7665  3 Ti 1.95-2.04
39 O 0.3452 0.3452 0.8704  3 Ti 1.93-2.02
40 O 0.5008 0.0033 0.2794  2 Li 1.99, 3 Ti 2.03-2.10
41 O 0.5027 0.5027 0.3564  3 Ti 2.04-2.13, 2 Li 2.05
42 O 0.5026 0.7542 0.2885  3 Ti 2.00-2.03, 1 Li 2.10
43 O 0.5037 0.2536 0.3609  3 Ti 1.99-2.09, 1 Li 2.08
44 O 0.5887 0.3431 0.7656  1 Li 1.87, 3 Ti 2.00-2.06
45 O 0.5914 0.8440 0.8748  1 Li 1.87, 3 Ti 2.01-2.04
46 O 0.5930 0.0996 0.8725  3 Ti 1.94-2.01
47 O 0.5967 0.5967 0.7778  3 Ti 1.94-1.99
48 O 0.7441 0.0005 0.3715  3 Ti 1.97-1.99
49 O 0.7512 0.2556 0.3697  3 Ti 1.94-2.08, 1 Li 1.96
50 O 0.7525 0.7525 0.2785  2 Li 2.00, 3 Ti 2.05-2.07
51 O 0.7542 0.5026 0.2885  3 Ti 2.00-2.03, 1 Li 2.10
52 O 0.8442 0.0892 0.7675  3 Ti 1.95-2.05, 1 Li 1.98
53 O 0.8440 0.5914 0.8748  1 Li 1.87, 3 Ti 2.01-2.04
54 O 0.8468 0.8468 0.8690  3 Ti 1.98-1.99
55 O 0.8477 0.3439 0.7665  3 Ti 1.95-2.04

- volume (Å³/f.u.) = 587.5
- energy with MP2020 corrections (eV/atom) = -8.656
- ΔH_f (0 K) (eV per atom) = -3.24
- SG = Cm, No. 8
- total magnetic moment (Bohr magnetons per cell) = 7.00
- E_tot (eV/atom) = -8.2565

=====

# 2
# LiTi4O6

A relaxed LiTi4O6 crystal (GGA-PBE, Materials Project).

Cell lengths 5.1550, 2.9139, 8.0468 Å; angles 90.00, 108.45, 90.00 degrees
Last column: nearest neighbours and their distance in Å.
Positions (direct):
1 Li 0.0000 0.0000 0.0000  3 O 1.87-1.96
2 Ti 0.3758 0.5000 0.5671  6 O 2.05-2.28
3 Ti 0.4625 0.5000 0.9149  6 O 1.98-2.12
4 Ti 0.7434 0.0000 0.2523  6 O 1.99-2.11
5 Ti 0.8320 0.0000 0.5964  6 O 2.07-2.18
6 O 0.0959 0.5000 0.7374  3 Ti 1.98-2.07
7 O 0.1056 0.0000 0.4388  4 Ti 1.99-2.18
8 O 0.3817 0.0000 0.0621  1 Li 1.87, 3 Ti 2.00
9 O 0.5812 0.0000 0.7614  5 Ti 2.12-2.15
10 O 0.6351 0.5000 0.4082  5 Ti 2.11-2.12
11 O 0.8379 0.5000 0.0969  2 Li 1.96, 3 Ti 2.02-2.08

- volume (Å³/f.u.) = 114.7
- energy with MP2020 corrections (eV/atom) = -8.781
- ΔH_f (0 K) (eV per atom) = -3.04
- SG = Pm, No. 6
- total magnetic moment (Bohr magnetons per cell) = 0.07
- E_tot (eV/atom) = -8.4067

=====

# 3
# LiTi3O4

A relaxed LiTi3O4 crystal (GGA-PBE, Materials Project).

Cell lengths 5.1591, 5.1591, 2.9639 Å; angles 90.00, 90.00, 107.85 degrees
Last column: nearest neighbours and their distance in Å.
Positions (direct):
1 Li 0.0000 0.0000 0.0000  6 O 1.99-2.10
2 Ti 0.0000 0.5000 0.5000  6 O 2.09-2.12
3 Ti 0.5000 0.0000 0.5000  6 O 2.09-2.12
4 Ti 0.5000 0.5000 0.0000  6 O 2.15-2.18
5 O 0.2392 0.7608 0.0000  1 Li 1.99, 5 Ti 2.12-2.18
6 O 0.2445 0.2445 0.5000  4 Ti 2.09-2.15, 2 Li 2.10
7 O 0.7555 0.7555 0.5000  4 Ti 2.09-2.15, 2 Li 2.10
8 O 0.7608 0.2392 0.0000  1 Li 1.99, 5 Ti 2.12-2.18

- volume (Å³/f.u.) = 75.1
- energy with MP2020 corrections (eV/atom) = -8.529
- ΔH_f (0 K) (eV per atom) = -2.86
- SG = Cmmm, No. 65
- total magnetic moment (Bohr magnetons per cell) = 0.00
- E_tot (eV/atom) = -8.1851

=====

# 4
# Li10Ti4O13

A relaxed Li10Ti4O13 crystal (GGA-PBE, Materials Project).

Cell lengths 7.7848, 8.9533, 10.7410 Å; angles 66.12, 71.97, 76.12 degrees
Last column: nearest neighbours and their distance in Å.
Positions (direct):
1 Li 0.0102 0.1957 0.0774  3 O 1.91-2.01
2 Li 0.1075 0.5272 0.8864  3 O 1.94-2.00
3 Li 0.1405 0.0384 0.6138  4 O 1.98-2.07
4 Li 0.1919 0.7046 0.5343  4 O 1.99-2.04
5 Li 0.2057 0.4388 0.4072  4 O 1.98-2.18
6 Li 0.2421 0.5729 0.1036  3 O 2.00-2.05
7 Li 0.3619 0.2868 0.9781  2 O 1.90-1.94
8 Li 0.3994 0.0055 0.8732  3 O 1.92-2.07
9 Li 0.4831 0.8854 0.4025  4 O 1.93-2.08
10 Li 0.4877 0.4591 0.6303  3 O 1.91-2.00
11 Li 0.5123 0.5409 0.3697  3 O 1.91-2.00
12 Li 0.5169 0.1146 0.5975  4 O 1.93-2.08
13 Li 0.6006 0.9945 0.1268  3 O 1.92-2.07
14 Li 0.6381 0.7132 0.0219  2 O 1.90-1.94
15 Li 0.7579 0.4271 0.8964  3 O 2.00-2.05
16 Li 0.7943 0.5612 0.5928  4 O 1.98-2.18
17 Li 0.8081 0.2954 0.4657  4 O 1.99-2.04
18 Li 0.8595 0.9616 0.3862  4 O 1.98-2.07
19 Li 0.8925 0.4728 0.1136  3 O 1.94-2.00
20 Li 0.9898 0.8043 0.9226  3 O 1.91-2.01
21 Ti 0.1517 0.2984 0.7306  4 O 1.79-1.91
22 Ti 0.1836 0.1886 0.2808  4 O 1.80-1.92
23 Ti 0.2485 0.8290 0.2227  4 O 1.76-1.93
24 Ti 0.4062 0.7470 0.7423  4 O 1.80-1.94
25 Ti 0.5938 0.2530 0.2577  4 O 1.80-1.94
26 Ti 0.7515 0.1710 0.7773  4 O 1.76-1.93
27 Ti 0.8164 0.8114 0.7192  4 O 1.80-1.92
28 Ti 0.8483 0.7016 0.2694  4 O 1.79-1.91
29 O 0.0823 0.2273 0.4414  1 Ti 1.80
30 O 0.1018 0.0289 0.2429  2 Ti 1.92-1.93, 2 Li 2.01-2.07
31 O 0.1039 0.6672 0.2581  2 Ti 1.89-1.91, 1 Li 2.05
32 O 0.1454 0.3698 0.1315  1 Ti 1.80, 2 Li 2.00-2.01
33 O 0.1751 0.3020 0.8927  1 Ti 1.82, 3 Li 1.90-1.99
34 O 0.2281 0.6826 0.9030  1 Ti 1.83, 3 Li 1.91-2.00
35 O 0.2567 0.1004 0.7224  1 Ti 1.79, 1 Li 1.98
36 O 0.2615 0.4605 0.5788  1 Ti 1.82, 2 Li 2.00-2.01
37 O 0.3080 0.8405 0.5914  1 Ti 1.81, 2 Li 1.98-2.01
38 O 0.3744 0.7528 0.3510  1 Ti 1.76, 2 Li 1.91-1.93
39 O 0.4101 0.8524 0.0586  1 Ti 1.79, 2 Li 1.92-1.94
40 O 0.4331 0.1189 0.2553  2 Ti 1.86-1.94, 2 Li 2.07-2.08
41 O 0.4430 0.4359 0.2702  1 Ti 1.80, 2 Li 1.93-1.98
42 O 0.5570 0.5641 0.7298  1 Ti 1.80, 2 Li 1.93-1.98
43 O 0.5669 0.8811 0.7447  2 Ti 1.86-1.94, 2 Li 2.07-2.08
44 O 0.5899 0.1476 0.9414  1 Ti 1.79, 2 Li 1.92-1.94
45 O 0.6256 0.2472 0.6490  1 Ti 1.76, 2 Li 1.91-1.93
46 O 0.6920 0.1595 0.4086  1 Ti 1.81, 2 Li 1.98-2.01
47 O 0.7385 0.5395 0.4212  1 Ti 1.82, 2 Li 2.00-2.01
48 O 0.7433 0.8996 0.2776  1 Ti 1.79, 1 Li 1.98
49 O 0.7719 0.3174 0.0970  1 Ti 1.83, 3 Li 1.91-2.00
50 O 0.8249 0.6980 0.1073  1 Ti 1.82, 3 Li 1.90-1.99
51 O 0.8546 0.6302 0.8685  1 Ti 1.80, 2 Li 2.00-2.01
52 O 0.8961 0.3328 0.7419  2 Ti 1.89-1.91, 1 Li 2.05
53 O 0.8982 0.9711 0.7571  2 Ti 1.92-1.93, 2 Li 2.01-2.07
54 O 0.9177 0.7727 0.5586  1 Ti 1.80

- volume (Å³/f.u.) = 322.6
- energy with MP2020 corrections (eV/atom) = -7.065
- ΔH_f (0 K) (eV per atom) = -2.81
- SG = P-1, No. 2
- total magnetic moment (Bohr magnetons per cell) = 0.00
- E_tot (eV/atom) = -6.7347